No. 1
# CaNi2Ge2 r2SCAN relaxed
# ΔE_f ... -0.558 eV/atom
# Space group ... I4/mmm, No. 139
data_CaNi2Ge2
_chemical_formula_sum 'Ca1 Ni2 Ge2'
_symmetry_space_group_name_H-M 'P 1'
_symmetry_Int_Tables_number 1
_cell_length_a 4.053
_cell_length_b 4.053
_cell_length_c 5.753
_cell_angle_alpha 110.62
_cell_angle_beta 110.62
_cell_angle_gamma 90.00
loop_
_symmetry_equiv_pos_as_xyz
'x,y,z'
loop_
_atom_site_label
_atom_site_fract_x
_atom_site_fract_y
_atom_site_fract_z
Ca1 0.000 0.000 0.000
Ni1 0.250 0.750 0.500
Ni2 0.750 0.250 0.500
Ge1 0.368 0.368 0.736
Ge2 0.632 0.632 0.264

No. 2
# La3Ge4Rh4 r2SCAN relaxed
# ΔE_f ... -1.006 eV/atom
# Space group ... Immm, No. 71
data_La3Ge4Rh4
_chemical_formula_sum 'La3 Ge4 Rh4'
_symmetry_space_group_name_H-M 'P 1'
_symmetry_Int_Tables_number 1
_cell_length_a 4.191
_cell_length_b 4.249
_cell_length_c 13.017
_cell_angle_alpha 99.39
_cell_angle_beta 99.26
_cell_angle_gamma 90.00
loop_
_symmetry_equiv_pos_as_xyz
'x,y,z'
loop_
_atom_site_label
_atom_site_fract_x
_atom_site_fract_y
_atom_site_fract_z
La1 0.856 0.356 0.712
La2 0.144 0.644 0.288
La3 0.000 0.000 0.000
Ge1 0.450 0.450 0.901
Ge2 0.550 0.550 0.099
Ge3 0.301 0.801 0.602
Ge4 0.699 0.199 0.398
Rh1 0.399 0.899 0.798
Rh2 0.250 0.250 0.500
Rh3 0.750 0.750 0.500
Rh4 0.601 0.101 0.202

No. 3
# Mn2Sb3I3O5 r2SCAN relaxed
# ΔE_f ... -1.347 eV/atom
# Space group ... P-1, No. 2
data_Mn2Sb3I3O5
_chemical_formula_sum 'Mn4 Sb6 I6 O10'
_symmetry_space_group_name_H-M 'P 1'
_symmetry_Int_Tables_number 1
_cell_length_a 6.423
_cell_length_b 9.898
_cell_length_c 10.357
_cell_angle_alpha 97.47
_cell_angle_beta 106.39
_cell_angle_gamma 91.96
loop_
_symmetry_equiv_pos_as_xyz
'x,y,z'
loop_
_atom_site_label
_atom_site_fract_x
_atom_site_fract_y
_atom_site_fract_z
Mn1 0.717 0.419 0.996
Mn2 0.257 0.295 0.738
Mn3 0.283 0.581 0.003
Mn4 0.743 0.705 0.262
Sb1 0.218 0.853 0.216
Sb2 0.782 0.147 0.784
Sb3 0.233 0.275 0.082
Sb4 0.767 0.725 0.918
Sb5 0.281 0.568 0.332
Sb6 0.719 0.432 0.668
I1 0.746 0.412 0.296
I2 0.255 0.588 0.704
I3 0.756 0.976 0.174
I4 0.243 0.024 0.826
I5 0.689 0.794 0.534
I6 0.313 0.206 0.466
O1 0.146 0.462 0.143
O2 0.855 0.538 0.857
O3 0.349 0.374 0.959
O4 0.651 0.625 0.041
O5 0.409 0.686 0.220
O6 0.591 0.314 0.781
O7 0.084 0.749 0.029
O8 0.915 0.251 0.971
O9 0.073 0.720 0.302
O10 0.927 0.280 0.698

No. 4
# LaCeHg2 r2SCAN relaxed
# ΔE_f ... -0.525 eV/atom
# Space group ... Fm-3m, No. 225
data_LaCeHg2
_chemical_formula_sum 'La1 Ce1 Hg2'
_symmetry_space_group_name_H-M 'P 1'
_symmetry_Int_Tables_number 1
_cell_length_a 5.469
_cell_length_b 5.469
_cell_length_c 5.469
_cell_angle_alpha 60.00
_cell_angle_beta 60.00
_cell_angle_gamma 60.00
loop_
_symmetry_equiv_pos_as_xyz
'x,y,z'
loop_
_atom_site_label
_atom_site_fract_x
_atom_site_fract_y
_atom_site_fract_z
La1 0.000 0.000 0.000
Ce1 0.500 0.500 0.500
Hg1 0.250 0.250 0.250
Hg2 0.750 0.750 0.750

No. 5
# Ba2Ce2O5 r2SCAN relaxed
# ΔE_f ... -3.222 eV/atom
# Space group ... Pbam, No. 55
data_Ba2Ce2O5
_chemical_formula_sum 'Ba4 Ce4 O10'
_symmetry_space_group_name_H-M 'P 1'
_symmetry_Int_Tables_number 1
_cell_length_a 4.475
_cell_length_b 6.214
_cell_length_c 12.668
_cell_angle_alpha 90.00
_cell_angle_beta 90.00
_cell_angle_gamma 90.00
loop_
_symmetry_equiv_pos_as_xyz
'x,y,z'
loop_
_atom_site_label
_atom_site_fract_x
_atom_site_fract_y
_atom_site_fract_z
Ba1 0.000 0.244 0.393
Ba2 0.000 0.256 0.893
Ba3 0.000 0.744 0.107
Ba4 0.000 0.756 0.607
Ce1 0.500 0.242 0.136
Ce2 0.500 0.258 0.636
Ce3 0.500 0.742 0.364
Ce4 0.500 0.758 0.864
O1 0.500 0.000 0.500
O2 0.500 0.099 0.792
O3 0.000 0.192 0.103
O4 0.000 0.308 0.603
O5 0.500 0.401 0.292
O6 0.500 0.500 0.000
O7 0.500 0.599 0.708
O8 0.000 0.692 0.397
O9 0.000 0.808 0.897
O10 0.500 0.901 0.208

No. 6
# CaB6 r2SCAN relaxed
# ΔE_f ... -0.475 eV/atom
# Space group ... Pm-3m, No. 221
data_CaB6
_chemical_formula_sum 'Ca1 B6'
_symmetry_space_group_name_H-M 'P 1'
_symmetry_Int_Tables_number 1
_cell_length_a 4.138
_cell_length_b 4.138
_cell_length_c 4.138
_cell_angle_alpha 90.00
_cell_angle_beta 90.00
_cell_angle_gamma 90.00
loop_
_symmetry_equiv_pos_as_xyz
'x,y,z'
loop_
_atom_site_label
_atom_site_fract_x
_atom_site_fract_y
_atom_site_fract_z
Ca1 0.000 0.000 0.000
B1 0.202 0.500 0.500
B2 0.500 0.500 0.798
B3 0.500 0.500 0.202
B4 0.500 0.202 0.500
B5 0.500 0.798 0.500
B6 0.798 0.500 0.500

No. 7
# V4OF11 r2SCAN relaxed
# ΔE_f ... -3.177 eV/atom
# Offset from the most stable computed form ... 0 meV/atom
# Space group ... P1, No. 1
data_V4OF11
_chemical_formula_sum 'V4 O1 F11'
_symmetry_space_group_name_H-M 'P 1'
_symmetry_Int_Tables_number 1
_cell_length_a 5.031
_cell_length_b 5.320
_cell_length_c 8.820
_cell_angle_alpha 73.82
_cell_angle_beta 89.54
_cell_angle_gamma 61.86
loop_
_symmetry_equiv_pos_as_xyz
'x,y,z'
loop_
_atom_site_label
_atom_site_fract_x
_atom_site_fract_y
_atom_site_fract_z
V1 0.764 0.517 0.247
V2 0.503 0.004 0.498
V3 0.251 0.500 0.750
V4 0.997 0.989 0.008
O1 0.913 0.743 0.171
F1 0.933 0.751 0.561
F2 0.994 0.237 0.129
F3 0.505 0.749 0.377
F4 0.426 0.743 0.068
F5 0.437 0.748 0.684
F6 0.570 0.261 0.316
F7 0.571 0.248 0.937
F8 0.493 0.249 0.628
F9 0.011 0.758 0.870
F10 0.066 0.254 0.820
F11 0.065 0.252 0.436

No. 8
# K2Zn2S3O12 r2SCAN relaxed
# ΔE_f ... -1.771 eV/atom
# Space group ... P2_13, No. 198
data_K2Zn2S3O12
_chemical_formula_sum 'K8 Zn8 S12 O48'
_symmetry_space_group_name_H-M 'P 1'
_symmetry_Int_Tables_number 1
_cell_length_a 9.900
_cell_length_b 9.900
_cell_length_c 9.900
_cell_angle_alpha 90.00
_cell_angle_beta 90.00
_cell_angle_gamma 90.00
loop_
_symmetry_equiv_pos_as_xyz
'x,y,z'
loop_
_atom_site_label
_atom_site_fract_x
_atom_site_fract_y
_atom_site_fract_z
K1 0.685 0.185 0.315
K2 0.315 0.685 0.185
K3 0.950 0.550 0.450
K4 0.185 0.315 0.685
K5 0.050 0.050 0.050
K6 0.450 0.950 0.550
K7 0.550 0.450 0.950
K8 0.815 0.815 0.815
Zn1 0.334 0.334 0.334
Zn2 0.166 0.666 0.834
Zn3 0.834 0.166 0.666
Zn4 0.666 0.834 0.166
Zn5 0.592 0.592 0.592
Zn6 0.092 0.908 0.408
Zn7 0.408 0.092 0.908
Zn8 0.908 0.408 0.092
S1 0.281 0.623 0.518
S2 0.781 0.877 0.482
S3 0.719 0.123 0.982
S4 0.877 0.482 0.781
S5 0.982 0.719 0.123
S6 0.482 0.781 0.877
S7 0.623 0.518 0.281
S8 0.518 0.281 0.623
S9 0.123 0.982 0.719
S10 0.219 0.377 0.018
S11 0.018 0.219 0.377
S12 0.377 0.018 0.219
O1 0.255 0.596 0.661
O2 0.755 0.904 0.339
O3 0.745 0.096 0.839
O4 0.904 0.339 0.755
O5 0.839 0.745 0.096
O6 0.339 0.755 0.904
O7 0.596 0.661 0.255
O8 0.661 0.255 0.596
O9 0.096 0.839 0.745
O10 0.404 0.161 0.245
O11 0.161 0.245 0.404
O12 0.245 0.404 0.161
O13 0.257 0.497 0.442
O14 0.757 0.003 0.558
O15 0.743 0.997 0.058
O16 0.003 0.558 0.757
O17 0.058 0.743 0.997
O18 0.558 0.757 0.003
O19 0.001 0.578 0.171
O20 0.497 0.442 0.257
O21 0.997 0.058 0.743
O22 0.503 0.942 0.243
O23 0.942 0.243 0.503
O24 0.243 0.503 0.942
O25 0.422 0.671 0.499
O26 0.922 0.829 0.501
O27 0.578 0.171 0.001
O28 0.829 0.501 0.922
O29 0.311 0.274 0.963
O30 0.963 0.311 0.274
O31 0.274 0.963 0.311
O32 0.226 0.037 0.811
O33 0.463 0.189 0.726
O34 0.726 0.463 0.189
O35 0.537 0.689 0.774
O36 0.037 0.811 0.226
O37 0.774 0.537 0.689
O38 0.811 0.226 0.037
O39 0.689 0.774 0.537
O40 0.189 0.726 0.463
O41 0.078 0.329 0.999
O42 0.999 0.078 0.329
O43 0.329 0.999 0.078
O44 0.171 0.001 0.578
O45 0.499 0.422 0.671
O46 0.671 0.499 0.422
O47 0.501 0.922 0.829
O48 0.442 0.257 0.497

No. 9
# LiYTl2 r2SCAN relaxed
# ΔE_f ... -0.391 eV/atom
# Space group ... Fm-3m, No. 225
data_LiYTl2
_chemical_formula_sum 'Li1 Y1 Tl2'
_symmetry_space_group_name_H-M 'P 1'
_symmetry_Int_Tables_number 1
_cell_length_a 5.163
_cell_length_b 5.163
_cell_length_c 5.163
_cell_angle_alpha 60.00
_cell_angle_beta 60.00
_cell_angle_gamma 60.00
loop_
_symmetry_equiv_pos_as_xyz
'x,y,z'
loop_
_atom_site_label
_atom_site_fract_x
_atom_site_fract_y
_atom_site_fract_z
Li1 0.250 0.250 0.250
Y1 0.750 0.750 0.750
Tl1 0.500 0.500 0.500
Tl2 0.000 0.000 0.000

No. 10
# Ba3Sn2P4 r2SCAN relaxed
# ΔE_f ... -0.890 eV/atom
# Space group ... P2_1/c, No. 14
data_Ba3Sn2P4
_chemical_formula_sum 'Ba12 Sn8 P16'
_symmetry_space_group_name_H-M 'P 1'
_symmetry_Int_Tables_number 1
_cell_length_a 19.674
_cell_length_b 7.808
_cell_length_c 7.988
_cell_angle_alpha 67.48
_cell_angle_beta 90.00
_cell_angle_gamma 90.00
loop_
_symmetry_equiv_pos_as_xyz
'x,y,z'
loop_
_atom_site_label
_atom_site_fract_x
_atom_site_fract_y
_atom_site_fract_z
Ba1 0.059 0.009 0.737
Ba2 0.441 0.509 0.737
Ba3 0.317 0.493 0.209
Ba4 0.566 0.012 0.740
Ba5 0.559 0.491 0.263
Ba6 0.066 0.488 0.260
Ba7 0.941 0.991 0.263
Ba8 0.934 0.512 0.740
Ba9 0.817 0.007 0.791
Ba10 0.434 0.988 0.260
Ba11 0.683 0.507 0.791
Ba12 0.183 0.993 0.209
Sn1 0.758 0.607 0.316
Sn2 0.122 0.522 0.790
Sn3 0.378 0.022 0.790
Sn4 0.258 0.893 0.684
Sn5 0.622 0.978 0.210
Sn6 0.878 0.478 0.210
Sn7 0.242 0.393 0.684
Sn8 0.742 0.107 0.316
P1 0.318 0.213 0.955
P2 0.935 0.259 0.491
P3 0.818 0.287 0.045
P4 0.446 0.755 0.997
P5 0.203 0.208 0.494
P6 0.065 0.741 0.509
P7 0.797 0.792 0.506
P8 0.703 0.292 0.506
P9 0.946 0.745 0.003
P10 0.565 0.759 0.491
P11 0.435 0.241 0.509
P12 0.182 0.713 0.955
P13 0.054 0.255 0.997
P14 0.682 0.787 0.045
P15 0.554 0.245 0.003
P16 0.297 0.708 0.494

No. 11
# Lu2PbS4 r2SCAN relaxed
# ΔE_f ... -1.886 eV/atom
# Space group ... Pnma, No. 62
data_Lu2PbS4
_chemical_formula_sum 'Lu8 Pb4 S16'
_symmetry_space_group_name_H-M 'P 1'
_symmetry_Int_Tables_number 1
_cell_length_a 3.887
_cell_length_b 11.928
_cell_length_c 14.084
_cell_angle_alpha 90.00
_cell_angle_beta 90.00
_cell_angle_gamma 90.00
loop_
_symmetry_equiv_pos_as_xyz
'x,y,z'
loop_
_atom_site_label
_atom_site_fract_x
_atom_site_fract_y
_atom_site_fract_z
Lu1 0.250 0.441 0.388
Lu2 0.250 0.941 0.112
Lu3 0.750 0.559 0.612
Lu4 0.750 0.059 0.888
Lu5 0.250 0.415 0.901
Lu6 0.250 0.915 0.599
Lu7 0.750 0.585 0.099
Lu8 0.750 0.085 0.401
Pb1 0.250 0.761 0.335
Pb2 0.250 0.261 0.165
Pb3 0.750 0.239 0.665
Pb4 0.750 0.739 0.835
S1 0.250 0.203 0.835
S2 0.250 0.703 0.665
S3 0.750 0.797 0.165
S4 0.750 0.297 0.335
S5 0.250 0.124 0.530
S6 0.250 0.624 0.970
S7 0.750 0.876 0.470
S8 0.750 0.376 0.030
S9 0.250 0.030 0.285
S10 0.250 0.530 0.215
S11 0.750 0.970 0.715
S12 0.750 0.470 0.785
S13 0.250 0.411 0.574
S14 0.250 0.911 0.926
S15 0.750 0.589 0.426
S16 0.750 0.089 0.074

No. 12
# SiC r2SCAN relaxed
# ΔE_f ... -0.306 eV/atom
# Offset from the most stable computed form ... 0 meV/atom
# Space group ... P3m1, No. 156
data_SiC
_chemical_formula_sum 'Si10 C10'
_symmetry_space_group_name_H-M 'P 1'
_symmetry_Int_Tables_number 1
_cell_length_a 3.076
_cell_length_b 3.076
_cell_length_c 25.169
_cell_angle_alpha 90.00
_cell_angle_beta 90.00
_cell_angle_gamma 120.00
loop_
_symmetry_equiv_pos_as_xyz
'x,y,z'
loop_
_atom_site_label
_atom_site_fract_x
_atom_site_fract_y
_atom_site_fract_z
Si1 0.667 0.333 0.200
Si2 0.667 0.333 0.400
Si3 0.000 0.000 0.300
Si4 0.667 0.333 0.600
Si5 0.000 0.000 0.000
Si6 0.000 0.000 0.700
Si7 0.333 0.667 0.900
Si8 0.667 0.333 0.800
Si9 0.333 0.667 0.100
Si10 0.333 0.667 0.500
C1 0.000 0.000 0.775
C2 0.000 0.000 0.075
C3 0.667 0.333 0.675
C4 0.667 0.333 0.275
C5 0.333 0.667 0.175
C6 0.333 0.667 0.575
C7 0.667 0.333 0.475
C8 0.333 0.667 0.975
C9 0.000 0.000 0.375
C10 0.667 0.333 0.875

No. 13
# Ba2NiN2 r2SCAN relaxed
# ΔE_f ... -0.571 eV/atom
# Space group ... I4/mmm, No. 139
data_Ba2NiN2
_chemical_formula_sum 'Ba2 Ni1 N2'
_symmetry_space_group_name_H-M 'P 1'
_symmetry_Int_Tables_number 1
_cell_length_a 4.129
_cell_length_b 4.130
_cell_length_c 7.034
_cell_angle_alpha 107.07
_cell_angle_beta 107.07
_cell_angle_gamma 90.00
loop_
_symmetry_equiv_pos_as_xyz
'x,y,z'
loop_
_atom_site_label
_atom_site_fract_x
_atom_site_fract_y
_atom_site_fract_z
Ba1 0.855 0.855 0.209
Ba2 0.145 0.145 0.791
Ni1 0.500 0.500 0.500
N1 0.364 0.364 0.227
N2 0.636 0.636 0.773

No. 14
# RbLaF4 r2SCAN relaxed
# ΔE_f ... -4.001 eV/atom
# Space group ... Pnma, No. 62
data_RbLaF4
_chemical_formula_sum 'Rb4 La4 F16'
_symmetry_space_group_name_H-M 'P 1'
_symmetry_Int_Tables_number 1
_cell_length_a 3.852
_cell_length_b 6.455
_cell_length_c 16.116
_cell_angle_alpha 90.00
_cell_angle_beta 90.00
_cell_angle_gamma 90.00
loop_
_symmetry_equiv_pos_as_xyz
'x,y,z'
loop_
_atom_site_label
_atom_site_fract_x
_atom_site_fract_y
_atom_site_fract_z
Rb1 0.750 0.276 0.799
Rb2 0.750 0.776 0.701
Rb3 0.250 0.724 0.201
Rb4 0.250 0.224 0.299
La1 0.250 0.252 0.559
La2 0.250 0.752 0.941
La3 0.750 0.748 0.441
La4 0.750 0.248 0.059
F1 0.250 0.135 0.963
F2 0.250 0.635 0.537
F3 0.750 0.865 0.037
F4 0.750 0.365 0.463
F5 0.750 0.000 0.556
F6 0.750 0.500 0.944
F7 0.250 0.000 0.444
F8 0.250 0.500 0.056
F9 0.750 0.391 0.631
F10 0.750 0.891 0.869
F11 0.250 0.609 0.369
F12 0.250 0.109 0.131
F13 0.250 0.095 0.689
F14 0.250 0.595 0.811
F15 0.750 0.905 0.311
F16 0.750 0.405 0.189

Number 1: M_tot 0.0 μB/cell, mass density 6.14 g/cm³. Number 2: M_tot 0.0 μB/cell, mass density 8.23 g/cm³. Number 3: M_tot 20.0 μB/cell, mass density 4.98 g/cm³. Number 4: M_tot 1.8 μB/cell, mass density 9.77 g/cm³. Number 5: M_tot 4.0 μB/cell, mass density 5.98 g/cm³. Number 6: M_tot 0.0 μB/cell, mass density 2.46 g/cm³. Number 7: M_tot 7.0 μB/cell, mass density 3.60 g/cm³. Number 8: M_tot 0.0 μB/cell, mass density 3.40 g/cm³. Number 9: M_tot 0.0 μB/cell, mass density 8.61 g/cm³. Number 10: M_tot 0.0 μB/cell, mass density 4.53 g/cm³. Number 11: M_tot 0.0 μB/cell, mass density 6.97 g/cm³. Number 12: M_tot 0.0 μB/cell, mass density 3.23 g/cm³. Number 13: M_tot 2.0 μB/cell, mass density 5.50 g/cm³. Number 14: M_tot 0.0 μB/cell, mass density 4.98 g/cm³.